Material: BaH8PtC4N4O4
Method: DFT, PBE
State: optimized geometry

For the energy above the most stable polymorph in this dataset, the calculation gives 69 kJ/mol of formula units. For the total magnetic moment, the calculation gives 0.009 μB/cell. As for the symmetry: C2/c, No. 15. Its energy relative to the elements is -734 meV/atom. As for the total energy: -6.30 eV per atom.

abc: 9.426 9.426 6.622
angles: 102.74 102.74 96.32
Atoms (fractional coordinates):
Ba  0.132  0.868  0.750
Ba  0.868  0.132  0.250
H  0.011  0.595  0.135
H  0.015  0.200  0.839
H  0.041  0.406  0.664
H  0.120  0.212  0.061
H  0.200  0.015  0.339
H  0.212  0.120  0.561
H  0.405  0.989  0.365
H  0.406  0.041  0.164
H  0.594  0.959  0.836
H  0.595  0.011  0.635
H  0.788  0.880  0.439
H  0.800  0.985  0.661
H  0.880  0.788  0.939
H  0.959  0.594  0.336
H  0.985  0.800  0.161
H  0.989  0.405  0.865
Pt  0.500  0.500  0.000
Pt  0.500  0.500  0.500
C  0.289  0.404  0.412
C  0.305  0.568  0.944
C  0.404  0.289  0.912
C  0.432  0.695  0.556
C  0.568  0.305  0.444
C  0.596  0.711  0.088
C  0.695  0.432  0.056
C  0.711  0.596  0.588
N  0.164  0.347  0.364
N  0.194  0.612  0.906
N  0.347  0.164  0.864
N  0.388  0.806  0.594
N  0.612  0.194  0.406
N  0.653  0.836  0.136
N  0.806  0.388  0.094
N  0.836  0.653  0.636
O  0.025  0.655  0.281
O  0.042  0.142  0.946
O  0.142  0.042  0.446
O  0.345  0.975  0.219
O  0.655  0.025  0.781
O  0.858  0.958  0.554
O  0.958  0.858  0.054
O  0.975  0.345  0.719